! Nb4IrSe10, relaxed, DFT GGA-PBE; values from VASP
&SYSTEM
  ibrav = 0, nat = 15, ntyp = 3
/
ATOMIC_SPECIES
Nb 92.91 Nb.upf
Ir 192.22 Ir.upf
Se 78.96 Se.upf
ATOMIC_POSITIONS angstrom
Nb -6.9084 1.8582 1.2583
Nb -1.3336 4.8740 -2.7256
Nb -4.0277 2.9074 3.3515
Nb 1.5470 5.9232 -0.6324
Ir -4.2364 -0.6055 1.5803
Se -2.4043 4.7541 2.9053
Se -2.6508 6.3452 -0.7609
Se -8.0280 2.6448 -1.0318
Se 2.6667 5.1365 1.6577
Se -2.7105 1.4362 1.3868
Se -2.9570 3.0273 -2.2795
Se -5.1677 3.7309 0.9535
Se -5.6831 0.7111 3.1892
Se 0.3218 7.0703 -2.5633
Se -0.1937 4.0505 -0.3276
CELL_PARAMETERS angstrom
2.7946 4.2010 3.3927
0.3169 4.7913 -5.9275
-8.4729 -1.2109 3.1606
! Total moment   0.03 μB per atom
! V   24.4 Å³/atom
! Space-group type   P-1 (2)
! E_form   -98.0 kJ per mole of atoms

=====

! LiAg2F4, relaxed, DFT GGA-PBE; values from VASP
&SYSTEM
  ibrav = 0, nat = 28, ntyp = 3
/
ATOMIC_SPECIES
Li 6.94 Li.upf
Ag 107.87 Ag.upf
F 19.00 F.upf
ATOMIC_POSITIONS angstrom
Li 6.8629 3.8707 4.2519
Li 5.7847 1.9469 0.0722
Li 2.6470 7.9729 8.2873
Li 1.5688 6.0491 4.1075
Ag 8.3366 4.4791 1.1326
Ag 4.1207 3.5170 3.0471
Ag 5.6885 9.0932 7.3439
Ag 1.4727 2.7504 5.1953
Ag 6.9591 7.1694 3.1641
Ag 2.7432 0.8266 1.0156
Ag 4.3111 6.4029 5.3123
Ag 0.0952 5.4408 7.2269
F 3.5282 4.9235 1.4479
F 2.5973 4.5381 4.5352
F 8.0212 3.8665 5.7051
F 1.4111 9.4210 8.0862
F 7.7441 3.0725 2.7319
F 1.6186 2.6143 0.3555
F 5.6270 2.4227 4.4530
F 4.6264 1.9427 1.5254
F 3.8053 7.9771 6.8341
F 2.8047 7.4972 3.9064
F 6.8132 7.3056 8.0040
F 0.6877 6.8473 5.6276
F 7.0206 0.4989 0.2733
F 0.4105 6.0533 2.6544
F 5.8344 5.3818 3.8243
F 4.9035 4.9963 6.9116
CELL_PARAMETERS angstrom
8.4317 0.0000 0.0000
0.0000 6.0723 0.0000
0.0000 3.8476 8.3595
! Total moment   0.14 μB per atom
! V   15.3 Å³/atom
! Space-group type   P2_1/c (14)
! Distance to the lowest polymorph of the same formula   0.0098 eV per atom
! E_form   -177.0 kJ per mole of atoms

=====

! MgSc2S4, relaxed, DFT GGA-PBE; values from VASP
&SYSTEM
  ibrav = 0, nat = 28, ntyp = 3
/
ATOMIC_SPECIES
Mg 24.30 Mg.upf
Sc 44.96 Sc.upf
S 32.06 S.upf
ATOMIC_POSITIONS angstrom
Mg 1.2056 1.8692 5.8602
Mg 11.6048 5.6075 0.4666
Mg 5.1996 5.6075 2.6968
Mg 7.6107 1.8692 3.6299
Sc 0.0000 0.0000 3.1634
Sc 6.4052 0.0000 0.0000
Sc 6.4052 3.7383 0.0000
Sc 0.0000 3.7383 3.1634
Sc 2.9986 5.6075 0.0177
Sc 9.8117 1.8692 6.3090
Sc 3.4065 1.8692 3.1811
Sc 9.4038 5.6075 3.1456
S 2.1735 7.4655 4.6463
S 10.6368 0.0111 1.6805
S 4.2317 0.0111 1.4829
S 8.5787 7.4655 4.8438
S 8.5787 3.7494 4.8438
S 4.2317 3.7272 1.4829
S 10.6368 3.7272 1.6805
S 2.1735 3.7494 4.6463
S 0.9816 5.6075 1.6131
S 11.8288 1.8692 4.7137
S 5.4236 1.8692 4.7765
S 7.3867 5.6075 1.5503
S 1.1693 1.8692 1.9125
S 11.6411 5.6075 4.4142
S 5.2359 5.6075 5.0759
S 7.5744 1.8692 1.2508
CELL_PARAMETERS angstrom
12.8103 0.0000 0.0000
0.0000 7.4766 0.0000
0.0000 0.0000 6.3267
! Total moment   0.00 μB per atom
! V   21.6 Å³/atom
! Space-group type   Pnma (62)
! Distance to the lowest polymorph of the same formula   0.0620 eV per atom
! E_form   -193.7 kJ per mole of atoms

=====

! V5Si3, relaxed, DFT GGA-PBE; values from VASP
&SYSTEM
  ibrav = 0, nat = 16, ntyp = 2
/
ATOMIC_SPECIES
V 50.94 V.upf
Si 28.09 Si.upf
ATOMIC_POSITIONS angstrom
V 0.0000 0.0000 0.0000
V -4.1314 -1.8954 3.1368
V -0.2786 4.5153 -0.5869
V -3.9560 -2.0975 0.2974
V -3.9680 0.7037 1.9743
V -0.2666 1.7141 -2.2638
V -6.4614 -3.2470 2.1997
V -2.7841 3.3659 1.3154
V -2.7721 0.5646 -0.3615
V -6.4734 -0.4457 3.8766
Si -6.1971 -2.8431 4.7052
Si -2.0657 -0.9477 1.5684
Si -2.6343 1.1115 -2.7979
Si -4.1057 0.1569 4.4107
Si -1.0058 2.1963 0.0024
Si -5.7342 -0.9279 1.6104
CELL_PARAMETERS angstrom
-5.4053 -4.5172 -0.1252
-2.8574 0.7263 6.3988
1.5227 5.0592 -4.6608
! V   13.2 Å³/atom
! Space-group type   I4/mcm (140)
! Distance to the lowest polymorph of the same formula   0.0337 eV per atom
! E_form   -50.5 kJ per mole of atoms

=====

! GdMn2Ge2, relaxed, DFT GGA-PBE; values from VASP
&SYSTEM
  ibrav = 0, nat = 5, ntyp = 3
/
ATOMIC_SPECIES
Gd 157.25 Gd.upf
Mn 54.94 Mn.upf
Ge 72.64 Ge.upf
ATOMIC_POSITIONS angstrom
Gd 0.0000 0.0000 0.0000
Mn 0.0000 1.9852 2.7301
Mn 1.9852 0.0000 2.7301
Ge 0.0000 0.0000 6.7762
Ge 0.0000 0.0000 4.1443
CELL_PARAMETERS angstrom
-1.9852 1.9852 5.4603
1.9852 -1.9852 5.4603
1.9852 1.9852 -5.4603
! V   17.2 Å³/atom
! Space-group type   I4/mmm (139)
! E_form   -45.8 kJ per mole of atoms

=====

! Co5CuS8, relaxed, DFT GGA-PBE; values from VASP
&SYSTEM
  ibrav = 0, nat = 14, ntyp = 3
/
ATOMIC_SPECIES
Co 58.93 Co.upf
Cu 63.55 Cu.upf
S 32.06 S.upf
ATOMIC_POSITIONS angstrom
Co 3.5142 3.5142 5.8724
Co 3.5142 5.8724 3.5142
Co 5.8724 3.5142 3.5142
Co 5.8724 5.8724 5.8724
Co 2.3467 2.3467 2.3467
Cu 0.0000 0.0000 0.0000
S 5.9861 5.9861 8.0939
S 5.9861 8.0939 5.9861
S 8.0939 5.9861 5.9861
S 8.0939 8.0939 8.0939
S 5.7965 5.7965 3.5901
S 5.7965 3.5901 5.7965
S 3.5901 5.7965 5.7965
S 3.5901 3.5901 3.5901
CELL_PARAMETERS angstrom
0.0000 4.6933 4.6933
4.6933 0.0000 4.6933
4.6933 4.6933 0.0000
! Total moment   0.02 μB per atom
! V   14.8 Å³/atom
! Space-group type   F-43m (216)
! E_form   -68.7 kJ per mole of atoms

=====

! Mg14NbSi, relaxed, DFT GGA-PBE; values from VASP
&SYSTEM
  ibrav = 0, nat = 16, ntyp = 3
/
ATOMIC_SPECIES
Mg 24.30 Mg.upf
Nb 92.91 Nb.upf
Si 28.09 Si.upf
ATOMIC_POSITIONS angstrom
Mg 0.0199 1.7784 6.3538
Mg -1.5080 4.4301 6.3538
Mg 3.1404 1.8274 1.2708
Mg 3.1365 1.8076 6.3538
Mg 1.6226 4.4563 1.2708
Mg 1.6034 4.4629 6.3538
Mg 1.5568 0.8925 3.7326
Mg 1.5568 0.8925 8.9750
Mg 0.0211 3.5523 3.7326
Mg 0.0211 3.5523 8.9750
Mg 4.7228 0.9598 3.7831
Mg 4.7228 0.9598 8.9245
Mg 3.2028 3.6161 3.7892
Mg 3.2028 3.6161 8.9185
Nb -1.5309 4.4170 1.2708
Si 0.0092 1.7723 1.2708
CELL_PARAMETERS angstrom
6.2480 0.0734 0.0000
-3.0604 5.3008 0.0000
0.0000 0.0000 10.1661
! Total moment   0.00 μB per atom
! V   21.2 Å³/atom
! Space-group type   Amm2 (38)
! E_form   7.5 kJ per mole of atoms

=====

! Na3CoN2, relaxed, DFT GGA-PBE; values from VASP
&SYSTEM
  ibrav = 0, nat = 24, ntyp = 3
/
ATOMIC_SPECIES
Na 22.99 Na.upf
Co 58.93 Co.upf
N 14.01 N.upf
ATOMIC_POSITIONS angstrom
Na -5.1998 1.7127 2.4033
Na -8.2359 -4.4283 5.9632
Na -3.1833 2.7969 0.9433
Na -1.0082 -0.5421 0.7300
Na -1.9304 0.7600 3.6862
Na -7.3137 -1.2219 6.3551
Na 2.2612 -1.4948 2.0129
Na -3.1222 -3.4767 4.6818
Na -8.8136 1.5676 6.3551
Na -0.4305 -2.0295 3.6862
Na -4.6221 -0.6872 4.6818
Na 0.0000 2.7106 2.0129
Co -7.2850 0.5915 3.9131
Co -6.1507 -3.3071 4.4534
Co -10.3422 -1.0523 6.1267
Co -3.0935 -1.6633 2.2398
N -6.2518 1.1470 5.0754
N 0.6057 0.3257 2.3607
N -5.6583 -3.0423 6.0073
N -2.5618 3.1311 3.2925
N -9.8498 -2.6164 6.3224
N -11.3754 0.2210 6.3224
N -5.8213 4.0582 2.0440
N -3.5859 -0.0992 2.0440
CELL_PARAMETERS angstrom
8.3831 -0.0011 0.0015
-3.7610 6.9948 0.0000
-9.2441 -4.9704 6.6932
! Total moment   0.00 μB per atom
! V   16.4 Å³/atom
! Space-group type   I4_1/amd (141)
! Distance to the lowest polymorph of the same formula   0.0000 eV per atom
! E_form   -0.3 kJ per mole of atoms

=====

! Na2SiH18O12, relaxed, DFT GGA-PBE; values from VASP
&SYSTEM
  ibrav = 0, nat = 132, ntyp = 4
/
ATOMIC_SPECIES
Na 22.99 Na.upf
Si 28.09 Si.upf
H 1.01 H.upf
O 16.00 O.upf
ATOMIC_POSITIONS angstrom
Na -4.1568 1.1260 7.6453
Na -3.8124 -4.4599 4.1286
Na 5.7624 -3.6537 12.1420
Na -5.3436 -1.3829 5.2503
Na 1.1326 -7.7646 1.6263
Na 0.7882 -2.1787 5.1430
Na -8.7866 -2.9849 -2.8704
Na 2.3194 -5.2558 4.0213
Si -2.8566 -1.2610 0.9101
Si 0.5935 0.3950 9.0371
Si -0.1676 -5.3776 8.3614
Si -3.6177 -7.0337 0.2344
H -4.6134 -2.6906 0.9176
H -1.5244 -3.0520 0.5257
H -7.0846 -2.0602 1.9956
H -0.4451 2.0599 10.1685
H 1.5893 -3.9480 8.3540
H -1.4998 -3.5866 8.7458
H 4.0604 -4.5784 7.2760
H -2.5791 -8.6986 -0.8969
H -2.1635 0.3918 9.4240
H -5.8730 -4.2363 2.2901
H -2.0646 3.8478 9.9688
H -5.0685 -0.8396 2.5475
H -0.8606 -7.0304 -0.1525
H 2.8488 -2.4024 6.9815
H -0.9596 -10.4864 -0.6972
H 2.0443 -5.7991 6.7241
H -1.8007 -5.0223 -0.2162
H -4.8724 -4.7813 1.1842
H -9.6541 0.1670 3.7479
H -6.4814 -0.1174 2.6044
H -1.2234 -1.6163 9.4878
H 1.8483 -1.8574 8.0874
H 6.6300 -6.8057 5.5237
H 3.4573 -6.5212 6.6672
H -4.7221 -4.6658 -1.1673
H -1.9869 -5.4093 2.1035
H -0.5492 -7.1072 5.9835
H -7.9315 -0.1061 5.3363
H 1.6979 -1.9728 10.4389
H -1.0373 -1.2294 7.1681
H -2.4750 0.4685 3.2881
H 4.9073 -6.5326 3.9353
H -4.4874 -3.0985 -1.1187
H -1.8114 -3.8654 2.4191
H -8.4853 -1.1048 0.7898
H -8.0247 -1.6853 5.2301
H 1.4632 -3.5401 10.3903
H -1.2128 -2.7732 6.8525
H 5.4611 -5.5338 8.4818
H 5.0005 -4.9534 4.0415
H 2.2578 -8.3366 4.4410
H -0.3610 -1.7895 2.3069
H -7.6828 -3.3703 -0.0158
H 1.2397 -4.6875 1.1881
H -5.2819 1.6980 4.8306
H -2.6632 -4.8491 6.9647
H 4.6586 -3.2683 9.2874
H -4.2639 -1.9511 8.0835
H 0.8079 -7.7392 4.4335
H 1.1925 -1.6006 2.4064
H -6.6838 -3.7740 -1.1552
H 0.1371 -5.0702 2.2354
H -3.8321 1.1006 4.8381
H -4.2167 -5.0381 6.8651
H 3.6596 -2.8646 10.4267
H -3.1613 -1.5685 7.0362
H 5.0309 -8.5211 3.1655
H -3.1260 -1.5433 3.5896
H -1.4170 0.8692 7.2864
H 2.6050 -0.0710 10.7888
H -8.0550 1.8825 6.1061
H 0.1018 -5.0954 5.6819
H -1.6072 -7.5078 1.9852
H -5.6292 -6.5676 -1.5172
H 2.8115 -3.5070 12.3567
H -2.4483 -1.9509 4.9863
H -1.8508 1.2562 5.7904
H 3.0784 -0.1579 12.3200
H -5.8357 -3.1316 -3.0851
H -0.5759 -4.6878 4.2853
H -1.1734 -7.8949 3.4812
H -6.1026 -6.4807 -3.0484
O -4.2166 -2.0315 0.2662
O -1.7587 -2.4790 1.3214
O -7.8846 -2.5462 1.6214
O 0.1925 1.3137 10.3985
O 1.1925 -4.6072 9.0054
O -1.2655 -4.1596 7.9502
O 4.8605 -4.0925 7.6502
O -3.2167 -7.9523 -1.1269
O 5.4440 -7.8879 4.6902
O -3.3176 -0.4964 2.2616
O -0.7799 -0.2152 8.4330
O 1.7464 -0.6668 9.4456
O -8.4682 1.2492 4.5814
O 0.2935 -6.1422 7.0100
O -2.2443 -6.4234 0.8386
O -4.7706 -5.9718 -0.1740
O -1.4954 -4.2239 -0.7325
O -4.9788 -4.0701 1.8772
O -1.1712 3.5313 9.6535
O -6.0221 -0.9802 2.8092
O -1.5288 -2.4147 10.0041
O 1.9546 -2.5685 7.3944
O -1.8530 -10.1699 -0.3819
O 2.9979 -5.6585 6.4623
O -4.8015 -3.8219 -1.7247
O -1.7111 -4.7631 2.8353
O -0.9557 -7.7424 5.3050
O -7.7214 -0.9610 5.8404
O 1.7773 -2.8167 10.9963
O -1.3131 -1.8756 6.4363
O -2.0685 1.1037 3.9666
O 4.6972 -5.6777 3.4311
O 1.6881 -7.6623 3.9945
O 0.3485 -1.4028 2.8775
O -7.6344 -3.8207 -0.8952
O 1.0515 -5.2981 1.9433
O -4.7123 1.0236 5.2770
O -3.3727 -5.2358 6.3940
O 4.6102 -2.8179 10.1668
O -4.0756 -1.3405 7.3283
O 3.4607 -4.0303 12.8807
O -3.1937 -2.1576 4.3767
O -1.9233 1.5318 6.7331
O -5.8941 -3.7144 5.1755
O -6.4848 -2.6083 -3.6092
O 0.1695 -4.4810 4.8948
O -1.1009 -8.1705 2.5385
O 2.8700 -2.9242 4.0960
CELL_PARAMETERS angstrom
7.6192 -7.5343 4.9358
-1.5021 4.9067 10.6230
-9.1413 -4.0110 -6.2871
! Total moment   0.00 μB per atom
! V   8.7 Å³/atom
! Space-group type   Ibca (73)
! E_form   -147.3 kJ per mole of atoms

=====

! Zr6Te2Ru, relaxed, DFT GGA-PBE; values from VASP
&SYSTEM
  ibrav = 0, nat = 9, ntyp = 3
/
ATOMIC_SPECIES
Zr 91.22 Zr.upf
Te 127.60 Te.upf
Ru 101.07 Ru.upf
ATOMIC_POSITIONS angstrom
Zr -1.6010 1.2498 -5.8736
Zr -1.4925 -1.6402 -1.4998
Zr -2.0415 1.6011 -0.6605
Zr 0.1071 0.8186 -3.0909
Zr 0.7374 -3.2875 -3.2777
Zr -0.5801 4.4902 -1.2636
Te -2.0366 2.9190 -3.3858
Te -1.2986 -1.4381 -4.5142
Ru 0.0000 0.0000 0.0000
CELL_PARAMETERS angstrom
-3.5995 -0.5404 -0.2678
-0.9749 7.5463 -2.1236
1.2392 -5.5250 -5.5086
! Total moment   0.00 μB per atom
! V   21.9 Å³/atom
! Space-group type   P-62m (189)
! E_form   -56.5 kJ per mole of atoms

=====

Please write out number 7 again, unchanged.
! Mg14NbSi, relaxed, DFT GGA-PBE; values from VASP
&SYSTEM
  ibrav = 0, nat = 16, ntyp = 3
/
ATOMIC_SPECIES
Mg 24.30 Mg.upf
Nb 92.91 Nb.upf
Si 28.09 Si.upf
ATOMIC_POSITIONS angstrom
Mg 0.0199 1.7784 6.3538
Mg -1.5080 4.4301 6.3538
Mg 3.1404 1.8274 1.2708
Mg 3.1365 1.8076 6.3538
Mg 1.6226 4.4563 1.2708
Mg 1.6034 4.4629 6.3538
Mg 1.5568 0.8925 3.7326
Mg 1.5568 0.8925 8.9750
Mg 0.0211 3.5523 3.7326
Mg 0.0211 3.5523 8.9750
Mg 4.7228 0.9598 3.7831
Mg 4.7228 0.9598 8.9245
Mg 3.2028 3.6161 3.7892
Mg 3.2028 3.6161 8.9185
Nb -1.5309 4.4170 1.2708
Si 0.0092 1.7723 1.2708
CELL_PARAMETERS angstrom
6.2480 0.0734 0.0000
-3.0604 5.3008 0.0000
0.0000 0.0000 10.1661
! Total moment   0.00 μB per atom
! V   21.2 Å³/atom
! Space-group type   Amm2 (38)
! E_form   7.5 kJ per mole of atoms

=====

What did the first record say?
! Nb4IrSe10, relaxed, DFT GGA-PBE; values from VASP
&SYSTEM
  ibrav = 0, nat = 15, ntyp = 3
/
ATOMIC_SPECIES
Nb 92.91 Nb.upf
Ir 192.22 Ir.upf
Se 78.96 Se.upf
ATOMIC_POSITIONS angstrom
Nb -6.9084 1.8582 1.2583
Nb -1.3336 4.8740 -2.7256
Nb -4.0277 2.9074 3.3515
Nb 1.5470 5.9232 -0.6324
Ir -4.2364 -0.6055 1.5803
Se -2.4043 4.7541 2.9053
Se -2.6508 6.3452 -0.7609
Se -8.0280 2.6448 -1.0318
Se 2.6667 5.1365 1.6577
Se -2.7105 1.4362 1.3868
Se -2.9570 3.0273 -2.2795
Se -5.1677 3.7309 0.9535
Se -5.6831 0.7111 3.1892
Se 0.3218 7.0703 -2.5633
Se -0.1937 4.0505 -0.3276
CELL_PARAMETERS angstrom
2.7946 4.2010 3.3927
0.3169 4.7913 -5.9275
-8.4729 -1.2109 3.1606
! Total moment   0.03 μB per atom
! V   24.4 Å³/atom
! Space-group type   P-1 (2)
! E_form   -98.0 kJ per mole of atoms

=====

Question: Which of these has the highest V?
Answer: Nb4IrSe10

=====

Question: Which of these has the highest V?
Answer: Nb4IrSe10